# 1
Li2GeTeO6, optimized geometry, DFT GGA-PBE; corrected total energy (MP2020 scheme) = -6.140 eV per atom; formation energy from the elements = -2.01 eV/atom; magnetic moment = 0.0 μB per formula unit; uncorrected energy = -5.73 eV per atom; space-group type = No. 146
1.0
2.5402 1.4666 4.8775
-2.5402 1.4666 4.8775
0.0000 -2.9332 4.8775
Li Ge Te O
2 1 1 6
direct
0.0000 0.0000 0.0000
0.2648 0.2648 0.2648
0.7916 0.7916 0.7916
0.4717 0.4717 0.4717
0.0647 0.4265 0.6812
0.1915 0.8469 0.5806
0.4265 0.6812 0.0647
0.5806 0.1915 0.8469
0.6812 0.0647 0.4265
0.8469 0.5806 0.1915

***

# 2
Li2Zn3Ge6O16, optimized geometry, DFT GGA-PBE; corrected total energy (MP2020 scheme) = -6.340 eV per atom; formation energy from the elements = -2.10 eV/atom; magnetic moment = 0.0 μB per formula unit; uncorrected energy = -5.93 eV per atom; space-group type = No. 4
1.0
8.3168 0.0000 0.0000
0.0000 8.3158 0.0000
-0.0366 0.0000 8.3214
Li Zn Ge O
4 6 12 32
direct
0.1241 0.0000 0.1239
0.2509 0.6263 0.0025
0.7491 0.1263 0.9975
0.8759 0.5000 0.8761
0.0017 0.3756 0.2489
0.2498 0.1274 0.4983
0.4993 0.8741 0.2474
0.5007 0.3741 0.7526
0.7502 0.6274 0.5017
0.9983 0.8756 0.7511
0.1200 0.2545 0.8787
0.1302 0.7550 0.3741
0.1307 0.5084 0.6327
0.3721 0.9916 0.8727
0.3822 0.5012 0.3786
0.3832 0.2493 0.1301
0.6168 0.7493 0.8699
0.6178 0.0012 0.6214
0.6279 0.4916 0.1273
0.8693 0.0084 0.3673
0.8698 0.2550 0.6259
0.8800 0.7545 0.1213
0.1011 0.7464 0.1455
0.1064 0.9791 0.3786
0.1125 0.2649 0.6378
0.1118 0.7287 0.6038
0.1307 0.4834 0.8530
0.1377 0.5156 0.3907
0.1437 0.2538 0.1023
0.1471 0.0185 0.8712
0.3513 0.7304 0.3635
0.3567 0.4880 0.6009
0.3583 0.2362 0.8886
0.3620 0.2720 0.3509
0.3774 0.0246 0.1080
0.3898 0.4870 0.1398
0.3942 0.7734 0.8920
0.3963 0.0139 0.6441
0.6037 0.5139 0.3559
0.6058 0.2734 0.1080
0.6102 0.9870 0.8602
0.6226 0.5246 0.8920
0.6380 0.7720 0.6491
0.6417 0.7362 0.1114
0.6433 0.9880 0.3991
0.6487 0.2304 0.6365
0.8529 0.5185 0.1288
0.8563 0.7538 0.8977
0.8623 0.0156 0.6093
0.8693 0.9834 0.1470
0.8882 0.2287 0.3962
0.8875 0.7649 0.3622
0.8936 0.4791 0.6214
0.8989 0.2464 0.8545

***

# 3
Li3Zn3Ge6O16, optimized geometry, DFT GGA-PBE; corrected total energy (MP2020 scheme) = -6.238 eV per atom; formation energy from the elements = -2.08 eV/atom; magnetic moment = 0.0 μB per formula unit; uncorrected energy = -5.85 eV per atom; space-group type = No. 4
1.0
8.3999 0.0000 0.0000
0.0000 8.4004 0.0000
-0.0089 0.0000 8.4013
Li Zn Ge O
6 6 12 32
direct
0.1236 0.0000 0.1233
0.2503 0.6254 0.0008
0.3742 0.7505 0.6272
0.6258 0.2505 0.3728
0.7497 0.1254 0.9992
0.8764 0.5000 0.8767
0.9999 0.3767 0.2488
0.0001 0.8767 0.7512
0.2499 0.1254 0.4992
0.4996 0.3764 0.7513
0.5004 0.8764 0.2487
0.7501 0.6254 0.5008
0.1183 0.2540 0.8801
0.1262 0.5059 0.6337
0.1288 0.7548 0.3707
0.3726 0.9936 0.8761
0.3792 0.2496 0.1277
0.3794 0.5009 0.3761
0.6206 0.0009 0.6239
0.6208 0.7496 0.8723
0.6274 0.4936 0.1239
0.8712 0.2548 0.6293
0.8738 0.0059 0.3663
0.8817 0.7540 0.1199
0.1029 0.7472 0.1447
0.1063 0.9804 0.3775
0.1124 0.2641 0.6368
0.1226 0.7308 0.6060
0.1290 0.4806 0.8543
0.1392 0.5146 0.3891
0.1445 0.2535 0.1046
0.1471 0.0201 0.8725
0.3546 0.7331 0.3725
0.3575 0.4985 0.6029
0.3612 0.2366 0.8888
0.3726 0.2683 0.3541
0.3775 0.0232 0.1070
0.3896 0.4869 0.1403
0.3939 0.7720 0.8787
0.3948 0.0035 0.6429
0.6052 0.5035 0.3571
0.6061 0.2720 0.1213
0.6104 0.9869 0.8597
0.6225 0.5232 0.8930
0.6274 0.7683 0.6459
0.6388 0.7366 0.1112
0.6425 0.9985 0.3971
0.6454 0.2331 0.6275
0.8529 0.5201 0.1275
0.8555 0.7535 0.8954
0.8608 0.0146 0.6109
0.8710 0.9806 0.1457
0.8774 0.2308 0.3940
0.8876 0.7641 0.3632
0.8937 0.4804 0.6225
0.8971 0.2472 0.8553

***

# 4
Li5GeP3, optimized geometry, DFT GGA-PBE; formation energy from the elements = -0.52 eV/atom; magnetic moment = 0.0 μB per formula unit; uncorrected energy = -3.89 eV per atom; energy above the lowest structure with this stoichiometry = 16.4 meV/atom; space-group type = No. 15
1.0
6.5071 -2.9306 0.0000
6.5071 2.9306 0.0000
-2.6524 0.0000 7.9071
Li Ge P
10 2 6
direct
0.0848 0.5804 0.9132
0.0871 0.5831 0.4220
0.2457 0.7543 0.7500
0.4169 0.9129 0.0780
0.4196 0.9152 0.5868
0.5804 0.0848 0.4132
0.5831 0.0871 0.9220
0.7543 0.2457 0.2500
0.9129 0.4169 0.5780
0.9152 0.4196 0.0868
0.2669 0.7331 0.2500
0.7331 0.2669 0.7500
0.0000 0.0000 0.0000
0.0000 0.0000 0.5000
0.3211 0.3614 0.1735
0.3614 0.3211 0.6735
0.6386 0.6789 0.3265
0.6789 0.6386 0.8265